No. 1
This record from the Materials Project database describes a geometry-optimized CeSi2Ni2 structure. The functional is PBE-GGA.

Summary:
E = -6.477 eV per atom
E_form = -0.8081 eV/atom
Calculated density = 6.71 g/cm3

abc: 4.032 4.032 9.553
angles: 90.00 90.00 90.00
Space group I4/mmm (No. 139)
Inequivalent atoms, fractional coordinates:
1 Ce 0.000 0.000 0.000 (multiplicity 2)
2 Si 0.000 0.000 0.373 (multiplicity 4)
3 Ni 0.000 0.500 0.250 (multiplicity 4)

No. 2
This record from the Materials Project database describes a geometry-optimized CeNi2Sn2 structure. The functional is PBE-GGA.

Summary:
E = -5.527 eV per atom
Magnetic moment = 0.1 μB per formula unit
E_form = -0.4242 eV/atom
Calculated density = 8.05 g/cm3

abc: 4.430 4.430 10.405
angles: 90.00 90.00 90.00
Space group I4/mmm (No. 139)
Inequivalent atoms, fractional coordinates:
1 Ce 0.000 0.000 0.000 (multiplicity 2)
2 Ni 0.000 0.500 0.250 (multiplicity 4)
3 Sn 0.000 0.000 0.364 (multiplicity 4)

No. 3
This record from the Materials Project database describes a geometry-optimized CeNi4Sn2 structure. The functional is PBE-GGA.

Summary:
Relative energy among the computed polymorphs = 328 meV/atom
E = -5.375 eV per atom
Magnetic moment = 0.0 μB per formula unit
E_form = -0.0786 eV/atom
Calculated density = 10.63 g/cm3

abc: 7.115 7.115 7.557
angles: 90.00 90.00 90.00
Space group I-4c2 (No. 120)
Inequivalent atoms, fractional coordinates:
1 Ce 0.000 0.000 0.250 (multiplicity 4)
2 Ni 0.135 0.352 0.333 (multiplicity 16)
3 Sn 0.157 0.343 0.000 (multiplicity 8)

No. 4
This record from the Materials Project database describes a geometry-optimized CeNiSn2 structure. The functional is PBE-GGA.

Summary:
E = -5.466 eV per atom
E_form = -0.5327 eV/atom
Calculated density = 7.93 g/cm3

abc: 4.439 18.108 4.547
angles: 90.00 90.00 90.00
Space group Cmcm (No. 63)
Inequivalent atoms, fractional coordinates:
1 Ce 0.000 0.110 0.250 (multiplicity 4)
2 Ni 0.000 0.318 0.250 (multiplicity 4)
3 Sn 0.000 0.251 0.750 (multiplicity 4)
4 Sn 0.000 0.454 0.250 (multiplicity 4)

No. 5
This record from the Materials Project database describes a geometry-optimized CeNi2Sn2 structure. The functional is PBE-GGA.

Summary:
E = -5.604 eV per atom
E_form = -0.5017 eV/atom
Calculated density = 8.27 g/cm3

abc: 4.447 4.447 10.052
angles: 90.00 90.00 90.00
Space group P4/nmm (No. 129, origin choice 2)
Inequivalent atoms, fractional coordinates:
1 Ce 0.250 0.250 0.238 (multiplicity 2)
2 Ni 0.250 0.250 0.627 (multiplicity 2)
3 Ni 0.250 0.750 0.000 (multiplicity 2)
4 Sn 0.250 0.250 0.874 (multiplicity 2)
5 Sn 0.250 0.750 0.500 (multiplicity 2)

No. 6
This record from the Materials Project database describes a geometry-optimized CeNi5Sn structure. The functional is PBE-GGA.

Summary:
E = -5.938 eV per atom
Magnetic moment = 0.2 μB per formula unit
E_form = -0.3891 eV/atom
Calculated density = 9.04 g/cm3

abc: 4.8808 4.8808 19.6702
angles: 90.00 90.00 120.00
Space group P6_3/mmc (No. 194)
Inequivalent atoms, fractional coordinates:
1 Ce 0.0000 0.0000 0.0000 (multiplicity 2)
2 Ce 0.3333 0.6667 0.2500 (multiplicity 2)
3 Ni 0.0000 0.0000 0.2500 (multiplicity 2)
4 Ni 0.1661 0.3321 0.6457 (multiplicity 12)
5 Ni 0.3333 0.6667 0.5423 (multiplicity 4)
6 Ni 0.3333 0.6667 0.7500 (multiplicity 2)
7 Sn 0.3333 0.6667 0.0878 (multiplicity 4)

No. 7
This record from the Materials Project database describes a geometry-optimized CeNi4Sn2 structure. The functional is PBE-GGA.

Summary:
Relative energy among the computed polymorphs = 0 meV/atom
E = -5.702 eV per atom
Magnetic moment = 0.0 μB per formula unit
E_form = -0.4064 eV/atom
Calculated density = 8.75 g/cm3

abc: 7.625 7.625 7.995
angles: 90.00 90.00 90.00
Space group I4/mcm (No. 140)
Inequivalent atoms, fractional coordinates:
1 Ce 0.000 0.000 0.250 (multiplicity 4)
2 Ni 0.140 0.360 0.166 (multiplicity 16)
3 Sn 0.159 0.341 0.500 (multiplicity 8)

No. 8
This record from the Materials Project database describes a geometry-optimized Ce2ZnNi2 structure. The functional is PBE-GGA.

Summary:
E = -5.294 eV per atom
E_form = -0.3569 eV/atom
Calculated density = 8.21 g/cm3

abc: 4.401 5.453 7.805
angles: 90.00 90.00 90.00
Space group Immm (No. 71)
Inequivalent atoms, fractional coordinates:
1 Ce 0.000 0.000 0.201 (multiplicity 4)
2 Zn 0.000 0.500 0.000 (multiplicity 2)
3 Ni 0.000 0.266 0.500 (multiplicity 4)

No. 9
This record from the Materials Project database describes a geometry-optimized CeZn2Ni3 structure. The functional is PBE-GGA.

Summary:
E = -4.627 eV per atom
E_form = -0.3278 eV/atom
Calculated density = 8.15 g/cm3

abc: 5.1933 5.1933 3.9009
angles: 90.00 90.00 120.00
Space group P6/mmm (No. 191)
Inequivalent atoms, fractional coordinates:
1 Ce 0.0000 0.0000 0.0000 (multiplicity 1)
2 Zn 0.3333 0.6667 0.0000 (multiplicity 2)
3 Ni 0.0000 0.5000 0.5000 (multiplicity 3)

No. 10
This record from the Materials Project database describes a geometry-optimized Ce2O3 structure. The functional is PBE-GGA.

Summary:
E = -7.913 eV per atom
Magnetic moment = 1.6 μB per formula unit
E_form = -2.9830 eV/atom
Calculated density = 3.51 g/cm3

abc: 5.5147 5.5147 5.8927
angles: 90.00 90.00 120.00
Space group P321 (No. 150)
Inequivalent atoms, fractional coordinates:
1 Ce 0.3333 0.6667 0.1760 (multiplicity 2)
2 O 0.0000 0.6564 0.0000 (multiplicity 3)

No. 11
This record from the Materials Project database describes a geometry-optimized Ce2O3 structure. The functional is PBE-GGA.

Summary:
E = -8.658 eV per atom
Magnetic moment = 2.0 μB per formula unit
E_form = -3.7281 eV/atom
Calculated density = 6.92 g/cm3

abc: 14.437 3.705 8.984
angles: 90.00 100.24 90.00
Space group C2/m (No. 12)
Inequivalent atoms, fractional coordinates:
1 Ce 0.033 0.000 0.314 (multiplicity 4)
2 Ce 0.133 0.500 0.990 (multiplicity 4)
3 Ce 0.189 0.500 0.639 (multiplicity 4)
4 O 0.000 0.500 0.500 (multiplicity 2)
5 O 0.027 0.500 0.159 (multiplicity 4)
6 O 0.128 0.000 0.786 (multiplicity 4)
7 O 0.177 0.000 0.472 (multiplicity 4)
8 O 0.202 0.000 0.127 (multiplicity 4)

No. 12
This record from the Materials Project database describes a geometry-optimized Ce2O3 structure. The functional is PBE-GGA.

Summary:
E = -8.498 eV per atom
Magnetic moment = 1.8 μB per formula unit
E_form = -3.5683 eV/atom
Calculated density = 5.15 g/cm3

abc: 6.1874 6.1874 3.1898
angles: 90.00 90.00 120.00
Space group P321 (No. 150)
Inequivalent atoms, fractional coordinates:
1 Ce 0.3333 0.6667 0.4978 (multiplicity 2)
2 O 0.0000 0.5115 0.0000 (multiplicity 3)